# Ho2Ge6Pt

Crystalline Ho2Ge6Pt at its relaxed geometry (PBE, the Materials Project).

The structure in extended XYZ format:
```
9
Lattice="2.302 -0.612 -3.303 -2.964 1.559 -2.354 3.198 10.341 2.823" Properties=species:S:1:pos:R:3 pbc="T T T"
Ho 2.088 6.056 -2.177
Ho -0.465 3.125 -0.903
Ge 2.807 10.677 -0.022
Ge 1.817 8.390 -0.288
Ge 5.432 9.574 -0.498
Ge 4.439 7.282 -0.766
Ge 2.629 3.104 -1.254
Ge 2.087 4.817 0.562
Pt 1.669 0.889 -1.512
```

final energy	-5.2997	eV/atom


# Ho4ReGe8

Crystalline Ho4ReGe8 at its relaxed geometry (PBE, the Materials Project).

The structure in extended XYZ format:
```
13
Lattice="1.711 -2.172 2.962 -2.975 1.347 2.706 -9.126 -12.431 -3.844" Properties=species:S:1:pos:R:3 pbc="T T T"
Ho -0.429 -1.710 0.380
Ho -6.621 -7.445 -0.249
Ho -3.872 -5.951 2.030
Ho -6.888 -12.760 -1.220
Re -2.394 -4.386 -0.448
Ge -3.809 -6.314 -1.044
Ge -9.668 -11.595 -1.532
Ge -0.708 -1.642 3.362
Ge -3.896 -8.683 0.041
Ge -3.162 -2.733 1.208
Ge -6.403 -9.847 -2.136
Ge -0.786 -4.447 1.350
Ge -7.087 -10.331 0.676
```

final energy	-5.6917	eV/atom


# Ho3Ge2Rh2

Crystalline Ho3Ge2Rh2 at its relaxed geometry (PBE, the Materials Project).

The structure in extended XYZ format:
```
28
Lattice="-4.686 0.325 3.013 0.405 -7.696 1.459 7.129 2.428 10.825" Properties=species:S:1:pos:R:3 pbc="T T T"
Ho -1.080 -1.127 4.980
Ho 3.928 -3.816 10.317
Ho 0.365 -5.061 4.911
Ho 2.483 0.118 10.387
Ho 0.186 -2.736 2.106
Ho 2.662 -2.207 13.191
Ho 0.531 -2.933 9.956
Ho -0.786 -5.629 8.197
Ho 2.317 -2.010 5.342
Ho 3.635 0.686 7.100
Ho 5.765 1.412 10.335
Ho -2.917 -6.355 4.962
Ge 1.222 -0.187 3.253
Ge 1.626 -4.756 12.044
Ge -2.053 -3.794 6.219
Ge 4.901 -1.149 9.078
Ge -2.986 -1.710 2.350
Ge -1.295 -5.661 2.123
Ge 2.270 -4.447 7.535
Ge 0.579 -0.496 7.762
Rh -1.072 0.051 2.199
Rh 3.921 -4.994 13.098
Rh 1.691 -5.753 9.713
Rh 0.185 -2.957 7.070
Rh 1.157 0.810 5.584
Rh 2.663 -1.986 8.228
Rh 4.893 -1.227 11.613
Rh -2.045 -3.716 3.684
```

final energy	-6.3194	eV/atom


# HoGe2Rh2

Crystalline HoGe2Rh2 at its relaxed geometry (PBE, the Materials Project).

The structure in extended XYZ format:
```
5
Lattice="-2.071 2.071 5.172 2.071 -2.071 5.172 2.071 2.071 -5.172" Properties=species:S:1:pos:R:3 pbc="T T T"
Ho 0.000 0.000 0.000
Ge 0.000 0.000 3.917
Ge 0.000 0.000 6.427
Rh 0.000 2.071 2.586
Rh 2.071 0.000 2.586
```

final energy	-6.5856	eV/atom


# Ho3Ge13Rh4

Crystalline Ho3Ge13Rh4 at its relaxed geometry (PBE, the Materials Project).

The structure in extended XYZ format:
```
40
Lattice="9.042 0.000 0.000 0.000 9.042 0.000 0.000 0.000 9.042" Properties=species:S:1:pos:R:3 pbc="T T T"
Ho 0.000 4.521 6.782
Ho 4.521 2.261 0.000
Ho 6.782 0.000 4.521
Ho 0.000 4.521 2.261
Ho 4.521 6.782 0.000
Ho 2.261 0.000 4.521
Ge 4.521 4.521 4.521
Ge 0.000 0.000 0.000
Ge 7.327 3.186 4.521
Ge 5.856 4.521 7.327
Ge 4.521 1.715 5.856
Ge 1.715 5.856 4.521
Ge 3.186 4.521 1.715
Ge 4.521 7.327 3.186
Ge 7.327 5.856 4.521
Ge 5.856 4.521 1.715
Ge 1.715 3.186 4.521
Ge 3.186 4.521 7.327
Ge 4.521 7.327 5.856
Ge 4.521 1.715 3.186
Ge 2.806 0.000 7.707
Ge 1.335 2.806 0.000
Ge 0.000 1.335 6.236
Ge 6.236 0.000 1.335
Ge 7.707 6.236 0.000
Ge 0.000 7.707 2.806
Ge 2.806 0.000 1.335
Ge 1.335 6.236 0.000
Ge 6.236 0.000 7.707
Ge 7.707 2.806 0.000
Ge 0.000 1.335 2.806
Ge 0.000 7.707 6.236
Rh 6.782 2.261 6.782
Rh 2.261 6.782 2.261
Rh 6.782 6.782 2.261
Rh 2.261 2.261 6.782
Rh 2.261 6.782 6.782
Rh 6.782 2.261 2.261
Rh 2.261 2.261 2.261
Rh 6.782 6.782 6.782
```

final energy	-5.7008	eV/atom


# HoGeRh

Crystalline HoGeRh at its relaxed geometry (PBE, the Materials Project).

The structure in extended XYZ format:
```
12
Lattice="-0.453 1.314 4.082 -6.791 -1.280 -0.342 1.212 -7.075 2.413" Properties=species:S:1:pos:R:3 pbc="T T T"
Ho -2.689 -5.232 2.525
Ho -3.343 -1.808 3.628
Ho 0.840 -5.371 2.962
Ho -6.873 -1.669 3.191
Ge -1.936 -0.795 1.180
Ge -4.097 -6.246 4.973
Ge -4.984 -3.462 1.700
Ge -1.048 -3.579 4.453
Rh -5.388 -4.105 4.140
Rh -0.645 -2.935 2.012
Rh -1.548 -6.057 5.195
Rh -4.485 -0.983 0.958
```

final energy	-6.5081	eV/atom


# Ho2Ge5Rh3

Crystalline Ho2Ge5Rh3 at its relaxed geometry (PBE, the Materials Project).

The structure in extended XYZ format:
```
20
Lattice="6.126 5.672 0.000 -6.126 5.672 0.000 0.000 2.767 5.191" Properties=species:S:1:pos:R:3 pbc="T T T"
Ho -1.710 4.729 3.963
Ho -1.710 10.766 3.824
Ho 1.710 9.382 1.228
Ho 1.710 3.345 1.367
Ge 5.961 7.747 3.893
Ge -5.961 6.364 1.298
Ge -2.535 7.747 3.893
Ge 2.535 6.364 1.298
Ge 2.723 7.747 3.893
Ge -2.723 6.364 1.298
Ge 1.160 9.900 4.313
Ge -1.160 8.517 1.717
Ge -1.160 4.211 0.878
Ge 1.160 5.594 3.474
Rh 4.386 4.925 0.655
Rh 0.031 6.364 1.298
Rh -4.386 6.309 3.251
Rh -4.386 9.186 4.536
Rh 4.386 7.802 1.941
Rh -0.031 7.747 3.893
```

final energy	-6.2100	eV/atom


# HoGe2Ru2

Crystalline HoGe2Ru2 at its relaxed geometry (PBE, the Materials Project).

The structure in extended XYZ format:
```
5
Lattice="4.270 0.000 0.000 0.000 4.270 0.000 -2.135 -2.135 4.918" Properties=species:S:1:pos:R:3 pbc="T T T"
Ho 0.000 0.000 0.000
Ge 2.135 2.135 1.279
Ge 0.000 0.000 3.639
Ru 2.135 0.000 2.459
Ru 0.000 2.135 2.459
```

final energy	-7.1196	eV/atom